(1)
{"formula": "TmGaNi", "functional": "r2SCAN", "state": "relaxed", "cell": [[0.000, -4.232, 0.000], [-6.718, 0.000, 0.000], [0.000, 0.000, -7.191]], "species": ["Ni", "Ga", "Ga", "Ni", "Tm", "Tm", "Ni", "Ga", "Ga", "Ni", "Tm", "Tm"], "frac_coords": [[0.750, 0.211, 0.407], [0.750, 0.322, 0.079], [0.250, 0.678, 0.921], [0.250, 0.289, 0.907], [0.250, 0.517, 0.303], [0.750, 0.483, 0.697], [0.250, 0.789, 0.593], [0.250, 0.178, 0.579], [0.750, 0.822, 0.421], [0.750, 0.711, 0.093], [0.750, 0.983, 0.803], [0.250, 0.017, 0.197]], "formation_enthalpy_0k_ev_per_atom": -0.699, "space_group": "Pnma"}

(2)
{"formula": "AcYb3", "functional": "r2SCAN", "state": "relaxed", "cell": [[0.735, -5.129, 2.442], [-4.550, -3.199, 1.369], [-1.142, -4.770, -2.958]], "species": ["Ac", "Yb", "Yb", "Yb"], "frac_coords": [[0.000, 0.000, 0.000], [0.250, 0.250, 0.250], [0.500, 0.500, 0.500], [0.750, 0.750, 0.750]], "formation_enthalpy_0k_ev_per_atom": 0.097, "space_group": "Fm-3m"}

(3)
{"formula": "EuMgSn", "functional": "r2SCAN", "state": "relaxed", "cell": [[4.846, 0.000, 0.000], [0.000, 7.986, 0.000], [0.000, 0.000, 8.738]], "species": ["Mg", "Sn", "Mg", "Eu", "Mg", "Sn", "Eu", "Sn", "Eu", "Mg", "Eu", "Sn"], "frac_coords": [[0.750, 0.347, 0.431], [0.250, 0.274, 0.605], [0.750, 0.847, 0.069], [0.250, 0.011, 0.306], [0.250, 0.653, 0.569], [0.750, 0.726, 0.395], [0.250, 0.511, 0.194], [0.750, 0.226, 0.105], [0.750, 0.489, 0.806], [0.250, 0.153, 0.931], [0.750, 0.989, 0.694], [0.250, 0.774, 0.895]], "formation_enthalpy_0k_ev_per_atom": -0.672, "space_group": "Pnma"}